No. 1
VASP calculation (PBE) on K5NaCe2S6O24 after structural relaxation.

CIF file:
```
data_K5NaCe2S6O24
_chemical_formula_sum 'K5 Na1 Ce2 S6 O24'
_space_group_name_H-M_alt 'P 1'
_space_group_IT_number 1
_space_group_name_Hall 'P 1'
_cell_length_a 9.499
_cell_length_b 9.499
_cell_length_c 7.860
_cell_angle_alpha 79.85
_cell_angle_beta 79.85
_cell_angle_gamma 121.07
loop_
_atom_site_label
_atom_site_type_symbol
_atom_site_fract_x
_atom_site_fract_y
_atom_site_fract_z
O1 O 0.926 0.075 0.211
O2 O 0.075 0.926 0.211
O3 O 0.074 0.925 0.789
O4 O 0.925 0.074 0.789
S1 S 0.539 0.208 0.318
O5 O 0.858 0.858 0.639
O6 O 0.583 0.381 0.222
O7 O 0.143 0.425 0.510
O8 O 0.704 0.221 0.312
S2 S 0.208 0.539 0.318
O9 O 0.381 0.583 0.222
O10 O 0.575 0.857 0.490
S3 S 0.461 0.792 0.682
O11 O 0.857 0.575 0.490
O12 O 0.924 0.562 0.770
Ce1 Ce 0.857 0.143 0.500
O13 O 0.438 0.076 0.230
O14 O 0.221 0.704 0.312
O15 O 0.228 0.228 0.025
O16 O 0.619 0.417 0.778
O17 O 0.779 0.296 0.688
K1 K 0.931 0.621 0.120
S4 S 0.095 0.095 0.197
K2 K 0.500 0.500 0.500
K3 K 0.069 0.379 0.880
O18 O 0.417 0.619 0.778
Na1 Na 0.500 0.500 0.000
K4 K 0.379 0.069 0.880
O19 O 0.562 0.924 0.770
O20 O 0.296 0.779 0.688
O21 O 0.076 0.438 0.230
S5 S 0.792 0.461 0.682
S6 S 0.905 0.905 0.803
O22 O 0.772 0.772 0.975
K5 K 0.621 0.931 0.120
O23 O 0.425 0.143 0.510
O24 O 0.142 0.142 0.361
Ce2 Ce 0.143 0.857 0.500
```

Summary:
Formation enthalpy at 0 K = -2.44 eV/atom
V = 14.92 Å³ per atom
E = -6.275 eV per atom
Space group = C2/m, No. 12
Theoretical density = 3.148 Mg/m³

=====

No. 2
VASP calculation (PBE) on CsMg6BO8 after structural relaxation.

CIF file:
```
data_CsMg6BO8
_chemical_formula_sum 'Cs1 Mg6 B1 O8'
_space_group_name_H-M_alt 'P 1'
_space_group_IT_number 1
_space_group_name_Hall 'P 1'
_cell_length_a 5.086
_cell_length_b 5.086
_cell_length_c 7.902
_cell_angle_alpha 90.00
_cell_angle_beta 90.00
_cell_angle_gamma 90.00
loop_
_atom_site_label
_atom_site_type_symbol
_atom_site_fract_x
_atom_site_fract_y
_atom_site_fract_z
O1 O 0.000 0.500 0.000
O2 O 0.500 0.000 0.000
Mg1 Mg 0.500 0.500 0.500
B1 B 0.000 0.000 0.500
O3 O 0.000 0.000 0.665
O4 O 0.000 0.500 0.500
O5 O 0.500 0.000 0.500
Cs1 Cs 0.000 0.000 0.000
O6 O 0.000 0.000 0.335
Mg2 Mg 0.000 0.500 0.258
Mg3 Mg 0.000 0.500 0.742
O7 O 0.500 0.500 0.249
Mg4 Mg 0.500 0.000 0.742
Mg5 Mg 0.500 0.000 0.258
O8 O 0.500 0.500 0.751
Mg6 Mg 0.500 0.500 0.000
```

Summary:
Formation enthalpy at 0 K = -2.29 eV/atom
V = 12.78 Å³ per atom
E = -5.491 eV per atom
Polymorph energy (0 for the lowest one) = 0.000 eV/atom
Space group = P4/mmm, No. 123
Theoretical density = 3.392 Mg/m³

=====

No. 3
VASP calculation (PBE) on SrZnSb2 after structural relaxation.

CIF file:
```
data_SrZnSb2
_chemical_formula_sum 'Sr4 Zn4 Sb8'
_space_group_name_H-M_alt 'P 1'
_space_group_IT_number 1
_space_group_name_Hall 'P 1'
_cell_length_a 4.432
_cell_length_b 4.468
_cell_length_c 23.061
_cell_angle_alpha 90.00
_cell_angle_beta 90.00
_cell_angle_gamma 90.00
loop_
_atom_site_label
_atom_site_type_symbol
_atom_site_fract_x
_atom_site_fract_y
_atom_site_fract_z
Sb1 Sb 0.250 0.224 0.001
Zn1 Zn 0.250 0.225 0.250
Sb2 Sb 0.750 0.274 0.677
Sb3 Sb 0.750 0.724 0.499
Sr1 Sr 0.750 0.272 0.884
Sr2 Sr 0.750 0.228 0.384
Zn2 Zn 0.250 0.275 0.750
Sb4 Sb 0.250 0.774 0.823
Zn3 Zn 0.750 0.775 0.750
Sb5 Sb 0.750 0.776 0.999
Zn4 Zn 0.750 0.725 0.250
Sb6 Sb 0.250 0.726 0.323
Sb7 Sb 0.750 0.226 0.177
Sr3 Sr 0.250 0.772 0.616
Sr4 Sr 0.250 0.728 0.116
Sb8 Sb 0.250 0.276 0.501
```

Summary:
Formation enthalpy at 0 K = -0.66 eV/atom
V = 28.54 Å³ per atom
E = -3.366 eV per atom
Space group = Pnma, No. 62
Theoretical density = 5.767 Mg/m³

=====

No. 4
VASP calculation (PBE) on Ba4Ga2O7 after structural relaxation.

CIF file:
```
data_Ba4Ga2O7
_chemical_formula_sum 'Ba24 Ga12 O42'
_space_group_name_H-M_alt 'P 1'
_space_group_IT_number 1
_space_group_name_Hall 'P 1'
_cell_length_a 10.835
_cell_length_b 7.450
_cell_length_c 18.019
_cell_angle_alpha 81.82
_cell_angle_beta 90.00
_cell_angle_gamma 90.00
loop_
_atom_site_label
_atom_site_type_symbol
_atom_site_fract_x
_atom_site_fract_y
_atom_site_fract_z
Ga1 Ga 0.940 0.803 0.232
Ga2 Ga 0.060 0.197 0.768
Ga3 Ga 0.426 0.685 0.091
O1 O 0.358 0.826 0.508
O2 O 0.186 0.186 0.361
Ba1 Ba 0.073 0.657 0.412
Ba2 Ba 0.232 0.957 0.907
Ga4 Ga 0.560 0.303 0.232
O3 O 0.171 0.160 0.010
O4 O 0.438 0.157 0.926
O5 O 0.500 0.500 0.500
Ba3 Ba 0.896 0.342 0.918
O6 O 0.938 0.343 0.074
O7 O 0.992 0.041 0.857
Ba4 Ba 0.604 0.842 0.918
O8 O 0.060 0.620 0.246
Ba5 Ba 0.214 0.960 0.257
O9 O 0.062 0.657 0.926
Ga5 Ga 0.926 0.815 0.909
O10 O 0.508 0.541 0.857
O11 O 0.814 0.814 0.639
O12 O 0.828 0.720 0.838
O13 O 0.829 0.840 0.990
Ba6 Ba 0.551 0.797 0.249
O14 O 0.672 0.220 0.838
O15 O 0.961 0.930 0.313
Ba7 Ba 0.732 0.543 0.093
O16 O 0.427 0.170 0.604
Ga6 Ga 0.074 0.185 0.091
O17 O 0.927 0.330 0.396
O18 O 0.573 0.830 0.396
Ga7 Ga 0.931 0.795 0.566
O19 O 0.216 0.262 0.793
Ba8 Ba 0.714 0.540 0.743
O20 O 0.172 0.280 0.162
O21 O 0.039 0.070 0.687
O22 O 0.008 0.959 0.143
O23 O 0.940 0.380 0.754
Ga8 Ga 0.431 0.705 0.434
O24 O 0.328 0.780 0.162
O25 O 0.539 0.430 0.313
Ga9 Ga 0.569 0.295 0.566
O26 O 0.858 0.674 0.492
O27 O 0.073 0.670 0.604
Ba9 Ba 0.573 0.843 0.588
O28 O 0.492 0.459 0.143
O29 O 0.560 0.880 0.754
Ba10 Ba 0.051 0.703 0.751
Ga10 Ga 0.440 0.697 0.768
O30 O 0.314 0.686 0.361
O31 O 0.461 0.570 0.687
O32 O 0.671 0.340 0.990
Ba11 Ba 0.396 0.158 0.082
Ba12 Ba 0.927 0.343 0.588
Ba13 Ba 0.786 0.040 0.743
Ba14 Ba 0.290 0.502 0.589
Ga11 Ga 0.069 0.205 0.434
O33 O 0.142 0.326 0.508
O34 O 0.329 0.660 0.010
Ba15 Ba 0.710 0.498 0.411
Ba16 Ba 0.949 0.297 0.249
Ba17 Ba 0.210 0.002 0.589
O35 O 0.784 0.738 0.207
O36 O 0.440 0.120 0.246
Ba18 Ba 0.104 0.658 0.082
O37 O 0.000 0.000 0.500
Ba19 Ba 0.449 0.203 0.751
Ba20 Ba 0.427 0.157 0.412
O38 O 0.642 0.174 0.492
Ga12 Ga 0.574 0.315 0.909
Ba21 Ba 0.790 0.998 0.411
O39 O 0.686 0.314 0.639
O40 O 0.562 0.843 0.074
Ba22 Ba 0.286 0.460 0.257
Ba23 Ba 0.268 0.457 0.907
Ba24 Ba 0.768 0.043 0.093
O41 O 0.284 0.762 0.793
O42 O 0.716 0.238 0.207
```

Summary:
Formation enthalpy at 0 K = -2.76 eV/atom
V = 18.46 Å³ per atom
E = -6.114 eV per atom
Space group = P2_1/c, No. 14
Theoretical density = 5.541 Mg/m³